# 1
# AgHg

A relaxed AgHg crystal (PBE-GGA, the Materials Project database).

POSCAR file:
```
AgHg
1.0
-3.1963 0.6458 1.1362
-0.7184 -3.3761 -0.1019
1.0918 -0.3307 3.2593
Hg Ag
1 1
direct
0.0000 0.0000 0.0000
0.5000 0.5000 0.5000
```

total DFT energy (no corrections) = -1.483 eV per atom
ΔE_f = 85 meV/atom
calculated volume = 41.2 Å³/cell

# 2
# AgHg

A relaxed AgHg crystal (PBE-GGA, the Materials Project database).

POSCAR file:
```
AgHg
1.0
-0.0350 -1.2222 5.3946
4.5871 -3.0210 -0.6546
3.0910 4.4695 1.0327
Ag Hg
4 4
direct
0.6488 0.1488 0.3512
0.3512 0.6488 0.1488
0.1488 0.3512 0.6488
0.8512 0.8512 0.8512
0.1548 0.1548 0.1548
0.3452 0.8452 0.6548
0.6548 0.3452 0.8452
0.8452 0.6548 0.3452
```

total DFT energy (no corrections) = -1.485 eV per atom
ΔE_f = 83 meV/atom
calculated volume = 169.2 Å³/cell

# 3
# Ho2AgHg

A relaxed Ho2AgHg crystal (PBE-GGA, the Materials Project database).

POSCAR file:
```
Ho2AgHg
1.0
0.4012 -5.0834 0.9190
-4.2260 -2.9955 -0.1182
-0.6647 -3.3910 -3.8608
Hg Ho Ag
1 2 1
direct
0.0000 0.0000 0.0000
0.2500 0.2500 0.2500
0.7500 0.7500 0.7500
0.5000 0.5000 0.5000
```

total DFT energy (no corrections) = -3.484 eV per atom
ΔE_f = -409 meV/atom
calculated volume = 98.4 Å³/cell

# 4
# Ag2HgI4

A relaxed Ag2HgI4 crystal (PBE-GGA, the Materials Project database).

POSCAR file:
```
Ag2HgI4
1.0
2.5997 3.8629 0.0000
-2.5997 3.8629 0.0000
0.0000 1.9606 50.2703
I Hg Ag
12 3 6
direct
0.5731 0.5731 0.4189
0.2890 0.2890 0.7082
0.9826 0.9826 0.3449
0.1818 0.1818 0.0764
0.0641 0.0641 0.9272
0.3905 0.3905 0.2710
0.4723 0.4723 0.8539
0.6873 0.6873 0.0554
0.8014 0.8014 0.1974
0.1465 0.1465 0.4970
0.7454 0.7454 0.6293
0.8804 0.8804 0.7806
0.5582 0.5582 0.4797
0.0732 0.0732 0.5786
0.6168 0.6168 0.6797
0.9367 0.9367 0.4007
0.2443 0.2443 0.7675
0.8373 0.8373 0.8410
0.3446 0.3446 0.3266
0.7464 0.7464 0.2510
0.4276 0.4276 0.9149
```

total DFT energy (no corrections) = -1.848 eV per atom
ΔE_f = -341 meV/atom
calculated volume = 1009.7 Å³/cell

# 5
# Ag2HgI4

A relaxed Ag2HgI4 crystal (PBE-GGA, the Materials Project database).

POSCAR file:
```
Ag2HgI4
1.0
-3.2680 3.2680 6.5814
3.2680 -3.2680 6.5814
3.2680 3.2680 -6.5814
Hg I Ag
1 4 2
direct
0.0000 0.0000 0.0000
0.1104 0.6100 0.9804
0.8700 0.8896 0.4996
0.3900 0.3704 0.5004
0.6296 0.1300 0.0196
0.5000 0.5000 0.0000
0.2500 0.7500 0.5000
```

total DFT energy (no corrections) = -2.023 eV per atom
largest piezoelectric modulus = 0.17 C/m²
ΔE_f = -516 meV/atom
calculated volume = 281.2 Å³/cell

# 6
# Ag2HgI4

A relaxed Ag2HgI4 crystal (PBE-GGA, the Materials Project database).

POSCAR file:
```
Ag2HgI4
1.0
-1.3962 6.3237 -0.5588
-1.2127 -0.8333 -6.3994
-6.2974 -1.2704 1.3588
Ag I Hg
2 4 1
direct
0.5000 0.0000 0.5000
0.5000 0.5000 0.0000
0.2404 0.2606 0.2606
0.7596 0.7394 0.2606
0.2404 0.7394 0.7394
0.7596 0.2606 0.7394
0.0000 0.0000 0.0000
```

total DFT energy (no corrections) = -2.022 eV per atom
largest piezoelectric modulus = 0.20 C/m²
ΔE_f = -515 meV/atom
calculated volume = 280.3 Å³/cell